[1]
# NbVB4 (PBE, optimized geometry)
data_NbVB4
_chemical_formula_sum 'Nb1 V1 B4'
_cell_length_a 3.0682
_cell_length_b 3.0682
_cell_length_c 6.3511
_cell_angle_alpha 90.00
_cell_angle_beta 90.00
_cell_angle_gamma 120.00
_symmetry_space_group_name_H-M 'P 6/m m m'
_symmetry_Int_Tables_number 191
_symmetry_space_group_name_Hall '-P 6 2'
loop_
_atom_site_label
_atom_site_type_symbol
_atom_site_fract_x
_atom_site_fract_y
_atom_site_fract_z
Nb1 Nb 0.0000 0.0000 0.0000
V1 V 0.0000 0.0000 0.5000
B1 B 0.3333 0.6667 0.2652
# **Uncorrected energy**: -8.356 eV/atom
# **Formation enthalpy at 0 K**: -705 meV/atom

=====

[2]
# NbB2W (PBE, optimized geometry)
data_NbB2W
_chemical_formula_sum 'Nb2 B4 W2'
_cell_length_a 3.137
_cell_length_b 3.245
_cell_length_c 8.668
_cell_angle_alpha 90.00
_cell_angle_beta 90.00
_cell_angle_gamma 90.00
_symmetry_space_group_name_H-M 'A m m 2'
_symmetry_Int_Tables_number 38
loop_
_symmetry_equiv_pos_as_xyz
'x,y,z'
'-x,-y,z'
'-x,y,z'
'x,-y,z'
'x,y+1/2,z+1/2'
'-x,-y+1/2,z+1/2'
'-x,y+1/2,z+1/2'
'x,-y+1/2,z+1/2'
loop_
_atom_site_label
_atom_site_type_symbol
_atom_site_fract_x
_atom_site_fract_y
_atom_site_fract_z
Nb1 Nb 0.000 0.000 0.000
B1 B 0.000 0.000 0.707
B2 B 0.500 0.000 0.590
W1 W 0.500 0.000 0.290
# **Uncorrected energy**: -9.690 eV/atom
# **Formation enthalpy at 0 K**: -585 meV/atom

=====

[3]
# ZrNbB4 (PBE, optimized geometry)
data_ZrNbB4
_chemical_formula_sum 'Zr1 Nb1 B4'
_cell_length_a 3.1485
_cell_length_b 3.1485
_cell_length_c 6.8738
_cell_angle_alpha 90.00
_cell_angle_beta 90.00
_cell_angle_gamma 120.00
_symmetry_space_group_name_H-M 'P 6/m m m'
_symmetry_Int_Tables_number 191
_symmetry_space_group_name_Hall '-P 6 2'
loop_
_atom_site_label
_atom_site_type_symbol
_atom_site_fract_x
_atom_site_fract_y
_atom_site_fract_z
Zr1 Zr 0.0000 0.0000 0.0000
Nb1 Nb 0.0000 0.0000 0.5000
B1 B 0.3333 0.6667 0.2578
# **Uncorrected energy**: -8.408 eV/atom
# **Formation enthalpy at 0 K**: -847 meV/atom

=====

[4]
# Nd2B5 (PBE, optimized geometry)
data_Nd2B5
_chemical_formula_sum 'Nd16 B40'
_cell_length_a 15.181
_cell_length_b 7.291
_cell_length_c 7.319
_cell_angle_alpha 90.00
_cell_angle_beta 109.14
_cell_angle_gamma 90.00
_symmetry_space_group_name_H-M 'C 1 2/c 1'
_symmetry_Int_Tables_number 15
loop_
_symmetry_equiv_pos_as_xyz
'x,y,z'
'-x,-y,-z'
'-x,y,-z+1/2'
'x,-y,z+1/2'
'x+1/2,y+1/2,z'
'-x+1/2,-y+1/2,-z'
'-x+1/2,y+1/2,-z+1/2'
'x+1/2,-y+1/2,z+1/2'
loop_
_atom_site_label
_atom_site_type_symbol
_atom_site_fract_x
_atom_site_fract_y
_atom_site_fract_z
Nd1 Nd 0.119 0.062 0.223
Nd2 Nd 0.119 0.430 0.599
B1 B 0.043 0.245 0.852
B2 B 0.160 0.249 0.939
B3 B 0.249 0.290 0.171
B4 B 0.249 0.342 0.408
B5 B 0.250 0.078 0.040
# **Uncorrected energy**: -6.648 eV/atom
# **Formation enthalpy at 0 K**: -515 meV/atom

=====

[5]
# NdB12 (PBE, optimized geometry)
data_NdB12
_chemical_formula_sum 'Nd4 B48'
_cell_length_a 7.576
_cell_length_b 7.576
_cell_length_c 7.576
_cell_angle_alpha 90.00
_cell_angle_beta 90.00
_cell_angle_gamma 90.00
_symmetry_space_group_name_H-M 'F m -3 m'
_symmetry_Int_Tables_number 225
_symmetry_space_group_name_Hall '-F 4 2 3'
loop_
_atom_site_label
_atom_site_type_symbol
_atom_site_fract_x
_atom_site_fract_y
_atom_site_fract_z
Nd1 Nd 0.000 0.000 0.000
B1 B 0.000 0.168 0.332
# **Uncorrected energy**: -6.739 eV/atom
# **Formation enthalpy at 0 K**: -206 meV/atom

=====

[6]
# NdB6 (PBE, optimized geometry)
data_NdB6
_chemical_formula_sum 'Nd1 B6'
_cell_length_a 4.136
_cell_length_b 4.136
_cell_length_c 4.136
_cell_angle_alpha 90.00
_cell_angle_beta 90.00
_cell_angle_gamma 90.00
_symmetry_space_group_name_H-M 'P m -3 m'
_symmetry_Int_Tables_number 221
_symmetry_space_group_name_Hall '-P 4 2 3'
loop_
_atom_site_label
_atom_site_type_symbol
_atom_site_fract_x
_atom_site_fract_y
_atom_site_fract_z
Nd1 Nd 0.000 0.000 0.000
B1 B 0.200 0.500 0.500
# **Uncorrected energy**: -6.882 eV/atom
# **Formation enthalpy at 0 K**: -475 meV/atom

=====

[7]
# NdNi4B (PBE, optimized geometry)
data_NdNi4B
_chemical_formula_sum 'Nd12 Ni48 B12'
_cell_length_a 5.043
_cell_length_b 6.946
_cell_length_c 26.197
_cell_angle_alpha 90.00
_cell_angle_beta 90.00
_cell_angle_gamma 90.00
_symmetry_space_group_name_H-M 'I m m a'
_symmetry_Int_Tables_number 74
_symmetry_space_group_name_Hall '-I 2b 2'
loop_
_atom_site_label
_atom_site_type_symbol
_atom_site_fract_x
_atom_site_fract_y
_atom_site_fract_z
Nd1 Nd 0.000 0.250 0.010
Nd2 Nd 0.000 0.250 0.331
Nd3 Nd 0.000 0.250 0.664
Ni1 Ni 0.000 0.000 0.500
Ni2 Ni 0.000 0.045 0.833
Ni3 Ni 0.000 0.250 0.113
Ni4 Ni 0.000 0.250 0.223
Ni5 Ni 0.000 0.250 0.437
Ni6 Ni 0.249 0.054 0.581
Ni7 Ni 0.250 0.043 0.750
B1 B 0.000 0.250 0.546
B2 B 0.000 0.250 0.779
B3 B 0.000 0.250 0.891
# **Uncorrected energy**: -6.176 eV/atom
# **Formation enthalpy at 0 K**: -415 meV/atom
# **ΔE to the lowest computed polymorph**: 0.7 kJ per mole of atoms

=====

[8]
# NdNi4B (PBE, optimized geometry)
data_NdNi4B
_chemical_formula_sum 'Nd2 Ni8 B2'
_cell_length_a 5.0534
_cell_length_b 5.0534
_cell_length_c 6.9808
_cell_angle_alpha 90.00
_cell_angle_beta 90.00
_cell_angle_gamma 120.00
_symmetry_space_group_name_H-M 'P 6/m m m'
_symmetry_Int_Tables_number 191
_symmetry_space_group_name_Hall '-P 6 2'
loop_
_atom_site_label
_atom_site_type_symbol
_atom_site_fract_x
_atom_site_fract_y
_atom_site_fract_z
Nd1 Nd 0.0000 0.0000 0.0000
Nd2 Nd 0.0000 0.0000 0.5000
Ni1 Ni 0.0000 0.5000 0.2067
Ni2 Ni 0.3333 0.6667 0.5000
B1 B 0.3333 0.6667 0.0000
# **Uncorrected energy**: -6.183 eV/atom
# **Formation enthalpy at 0 K**: -422 meV/atom
# **ΔE to the lowest computed polymorph**: 0.0 kJ per mole of atoms

=====

[9]
# NdBO3 (PBE, optimized geometry)
data_NdBO3
_chemical_formula_sum 'Nd4 B4 O12'
_cell_length_a 6.394
_cell_length_b 6.597
_cell_length_c 6.604
_cell_angle_alpha 93.56
_cell_angle_beta 105.65
_cell_angle_gamma 106.82
_symmetry_space_group_name_H-M 'P -1'
_symmetry_Int_Tables_number 2
loop_
_symmetry_equiv_pos_as_xyz
'x,y,z'
'-x,-y,-z'
loop_
_atom_site_label
_atom_site_type_symbol
_atom_site_fract_x
_atom_site_fract_y
_atom_site_fract_z
Nd1 Nd 0.047 0.264 0.331
Nd2 Nd 0.442 0.810 0.221
B1 B 0.016 0.241 0.779
B2 B 0.481 0.272 0.266
O1 O 0.045 0.776 0.038
O2 O 0.089 0.645 0.366
O3 O 0.150 0.134 0.713
O4 O 0.375 0.129 0.387
O5 O 0.383 0.798 0.836
O6 O 0.426 0.456 0.249
# **Uncorrected energy**: -8.312 eV/atom
# **Formation enthalpy at 0 K**: -3466 meV/atom

=====

[10]
# NdB9O18 (PBE, optimized geometry)
data_NdB9O18
_chemical_formula_sum 'Nd4 B36 O72'
_cell_length_a 7.885
_cell_length_b 16.410
_cell_length_c 12.696
_cell_angle_alpha 90.00
_cell_angle_beta 128.36
_cell_angle_gamma 90.00
_symmetry_space_group_name_H-M 'P 1 21/c 1'
_symmetry_Int_Tables_number 14
loop_
_symmetry_equiv_pos_as_xyz
'x,y,z'
'-x,-y,-z'
'-x,y+1/2,-z+1/2'
'x,-y+1/2,z+1/2'
loop_
_atom_site_label
_atom_site_type_symbol
_atom_site_fract_x
_atom_site_fract_y
_atom_site_fract_z
Nd1 Nd 0.129 0.211 0.362
B1 B 0.063 0.035 0.397
B2 B 0.080 0.095 0.723
B3 B 0.150 0.678 0.515
B4 B 0.154 0.598 0.031
B5 B 0.235 0.235 0.124
B6 B 0.262 0.562 0.666
B7 B 0.295 0.746 0.408
B8 B 0.406 0.695 0.776
B9 B 0.465 0.708 0.137
O1 O 0.023 0.606 0.078
O2 O 0.037 0.218 0.005
O3 O 0.041 0.637 0.896
O4 O 0.101 0.011 0.725
O5 O 0.150 0.695 0.402
O6 O 0.160 0.592 0.539
O7 O 0.180 0.142 0.839
O8 O 0.193 0.511 0.023
O9 O 0.202 0.067 0.367
O10 O 0.247 0.022 0.175
O11 O 0.257 0.743 0.787
O12 O 0.303 0.208 0.247
O13 O 0.355 0.718 0.644
O14 O 0.361 0.636 0.133
O15 O 0.370 0.220 0.612
O16 O 0.374 0.609 0.779
O17 O 0.386 0.077 0.011
O18 O 0.467 0.718 0.023
# **Uncorrected energy**: -7.506 eV/atom
# **Formation enthalpy at 0 K**: -2449 meV/atom

=====

[11]
# NdBO3 (PBE, optimized geometry)
data_NdBO3
_chemical_formula_sum 'Nd4 B4 O12'
_cell_length_a 5.804
_cell_length_b 5.084
_cell_length_c 8.142
_cell_angle_alpha 90.00
_cell_angle_beta 90.00
_cell_angle_gamma 90.00
_symmetry_space_group_name_H-M 'P n m a'
_symmetry_Int_Tables_number 62
loop_
_symmetry_equiv_pos_as_xyz
'x,y,z'
'-x,-y,-z'
'-x+1/2,-y,z+1/2'
'x+1/2,y,-z+1/2'
'x+1/2,-y+1/2,-z+1/2'
'-x+1/2,y+1/2,z+1/2'
'-x,y+1/2,-z'
'x,-y+1/2,z'
loop_
_atom_site_label
_atom_site_type_symbol
_atom_site_fract_x
_atom_site_fract_y
_atom_site_fract_z
Nd1 Nd 0.242 0.250 0.085
B1 B 0.080 0.250 0.738
O1 O 0.085 0.015 0.824
O2 O 0.095 0.250 0.569
# **Uncorrected energy**: -8.304 eV/atom
# **Formation enthalpy at 0 K**: -3458 meV/atom

=====

[12]
# Nd5B4O12 (PBE, optimized geometry)
data_Nd5B4O12
_chemical_formula_sum 'Nd20 B16 O48'
_cell_length_a 7.920
_cell_length_b 15.207
_cell_length_c 8.736
_cell_angle_alpha 90.00
_cell_angle_beta 90.00
_cell_angle_gamma 90.00
_symmetry_space_group_name_H-M 'P n m a'
_symmetry_Int_Tables_number 62
loop_
_symmetry_equiv_pos_as_xyz
'x,y,z'
'-x,-y,-z'
'-x+1/2,-y,z+1/2'
'x+1/2,y,-z+1/2'
'x+1/2,-y+1/2,-z+1/2'
'-x+1/2,y+1/2,z+1/2'
'-x,y+1/2,-z'
'x,-y+1/2,z'
loop_
_atom_site_label
_atom_site_type_symbol
_atom_site_fract_x
_atom_site_fract_y
_atom_site_fract_z
Nd1 Nd 0.004 0.097 0.174
Nd2 Nd 0.163 0.750 0.544
Nd3 Nd 0.167 0.129 0.664
B1 B 0.014 0.250 0.860
B2 B 0.156 0.250 0.330
B3 B 0.156 0.540 0.441
O1 O 0.064 0.595 0.538
O2 O 0.065 0.170 0.930
O3 O 0.102 0.543 0.288
O4 O 0.117 0.750 0.252
O5 O 0.140 0.250 0.498
O6 O 0.206 0.508 0.986
O7 O 0.245 0.169 0.276
# **Uncorrected energy**: -8.064 eV/atom
# **Formation enthalpy at 0 K**: -3221 meV/atom